LiMn2O4: optimized geometry, PBE with a Hubbard U.

a = 6.049 Å, b = 8.225 Å, c = 10.235 Å
α = 113.69°, β = 104.10°, γ = 90.50°
Space group P1 (No. 1)
Asymmetric unit:
Li 0.000 0.000 0.000 (multiplicity 1)
Li 0.135 0.411 0.327 (multiplicity 1)
Li 0.333 0.330 0.668 (multiplicity 1)
Li 0.474 0.746 0.993 (multiplicity 1)
Li 0.656 0.664 0.333 (multiplicity 1)
Li 0.808 0.077 0.662 (multiplicity 1)
Mn 0.062 0.706 0.161 (multiplicity 1)
Mn 0.070 0.705 0.665 (multiplicity 1)
Mn 0.229 0.869 0.496 (multiplicity 1)
Mn 0.240 0.373 0.998 (multiplicity 1)
Mn 0.392 0.036 0.325 (multiplicity 1)
Mn 0.407 0.038 0.830 (multiplicity 1)
Mn 0.567 0.206 0.164 (multiplicity 1)
Mn 0.571 0.707 0.668 (multiplicity 1)
Mn 0.732 0.370 0.499 (multiplicity 1)
Mn 0.740 0.373 0.002 (multiplicity 1)
Mn 0.892 0.035 0.325 (multiplicity 1)
Mn 0.909 0.539 0.832 (multiplicity 1)
O 0.048 0.460 0.143 (multiplicity 1)
O 0.059 0.472 0.677 (multiplicity 1)
O 0.078 0.936 0.658 (multiplicity 1)
O 0.086 0.950 0.180 (multiplicity 1)
O 0.199 0.607 0.993 (multiplicity 1)
O 0.223 0.638 0.509 (multiplicity 1)
O 0.237 0.100 0.480 (multiplicity 1)
O 0.279 0.139 0.004 (multiplicity 1)
O 0.357 0.792 0.316 (multiplicity 1)
O 0.376 0.786 0.807 (multiplicity 1)
O 0.406 0.267 0.318 (multiplicity 1)
O 0.436 0.295 0.860 (multiplicity 1)
O 0.550 0.975 0.170 (multiplicity 1)
O 0.552 0.943 0.672 (multiplicity 1)
O 0.582 0.436 0.156 (multiplicity 1)
O 0.615 0.472 0.677 (multiplicity 1)
O 0.696 0.115 0.469 (multiplicity 1)
O 0.731 0.146 0.013 (multiplicity 1)
O 0.760 0.620 0.523 (multiplicity 1)
O 0.770 0.614 0.001 (multiplicity 1)
O 0.856 0.271 0.324 (multiplicity 1)
O 0.894 0.310 0.845 (multiplicity 1)
O 0.908 0.795 0.312 (multiplicity 1)
O 0.919 0.768 0.823 (multiplicity 1)



MgV3SnO8: optimized geometry, PBE with a Hubbard U.

a = 12.645 Å, b = 3.953 Å, c = 6.926 Å
α = 90.00°, β = 106.33°, γ = 90.00°
Space group Cm (No. 8)
Asymmetric unit:
Mg 0.000 0.000 0.000 (multiplicity 2)
V 0.077 0.500 0.341 (multiplicity 2)
V 0.281 0.500 0.708 (multiplicity 2)
V 0.475 0.000 0.702 (multiplicity 2)
Sn 0.367 0.500 0.298 (multiplicity 2)
O 0.034 0.500 0.994 (multiplicity 2)
O 0.037 0.000 0.300 (multiplicity 2)
O 0.110 0.500 0.644 (multiplicity 2)
O 0.235 0.500 0.397 (multiplicity 2)
O 0.319 0.000 0.693 (multiplicity 2)
O 0.337 0.500 0.003 (multiplicity 2)
O 0.416 0.000 0.376 (multiplicity 2)
O 0.449 0.500 0.689 (multiplicity 2)



| no. | offset from the most stable computed form (meV per atom) | formation energy from the elements (eV per atom) |
| --- | --- | --- |
| 1 | 5 | -2.06 |
| 2 | 2 | -2.38 |